No. 1
! Ca8P6H12O29 | Materials Project | PBE | relaxed; values from VASP
! * crystal system: triclinic
! * size of the total moment: 0.001 μB per cell
! * final energy: -6.491 eV per atom
! * SG: P-1 (2)
! * E_form: -2.622 eV/atom
&SYSTEM
  ibrav = 0, nat = 110, ntyp = 4
/
ATOMIC_SPECIES
Ca 40.08 Ca.upf
P 30.97 P.upf
H 1.01 H.upf
O 16.00 O.upf
CELL_PARAMETERS angstrom
6.879 0.000 0.000
0.020 9.666 0.000
0.890 3.197 18.940
ATOMIC_POSITIONS angstrom
Ca 0.418 3.900 8.130
Ca 0.339 5.562 2.535
Ca 2.176 6.714 13.315
Ca 2.194 2.850 11.641
Ca 2.169 7.553 7.421
Ca 2.108 1.776 5.315
Ca 4.071 9.307 16.434
Ca 3.921 8.827 10.828
Ca 3.868 4.037 8.112
Ca 3.718 3.556 2.506
Ca 5.682 11.088 13.624
Ca 5.620 5.311 11.518
Ca 5.595 10.013 7.299
Ca 5.613 6.150 5.625
Ca 7.450 7.301 16.405
Ca 7.371 8.963 10.810
P 2.195 9.831 13.919
P 2.476 6.905 18.787
P 2.156 5.642 10.286
P 2.192 10.950 8.405
P 2.493 4.259 15.134
P 2.170 5.115 5.545
P 5.619 7.749 13.395
P 5.296 8.604 3.806
P 5.597 1.914 10.535
P 5.633 7.221 8.654
P 5.314 5.959 0.153
P 5.594 3.033 5.020
H 1.291 12.047 15.004
H 1.733 10.418 18.075
H 1.081 8.311 2.664
H 2.107 11.600 17.065
H 1.869 8.420 4.660
H 1.858 1.046 2.170
H 1.782 8.901 0.194
H 2.921 3.955 18.921
H 2.627 7.988 2.838
H 3.267 8.872 5.218
H 3.152 0.667 2.914
H 3.431 6.894 0.840
H 4.358 5.970 18.099
H 4.637 12.197 16.025
H 4.523 3.992 13.721
H 5.163 4.875 16.102
H 4.868 8.909 0.019
H 6.007 3.963 18.746
H 5.932 11.818 16.770
H 5.920 4.444 14.279
H 5.682 1.263 1.874
H 6.708 4.552 16.276
H 6.056 2.446 0.865
H 6.498 0.816 3.935
O 1.110 6.243 18.613
O 1.080 10.904 14.091
O 0.969 4.840 10.894
O 0.870 1.336 7.549
O 1.350 3.235 15.603
O 0.977 6.041 5.911
O 1.955 5.676 15.391
O 1.956 8.571 14.804
O 1.702 7.600 2.932
O 2.201 9.371 12.418
O 2.044 5.607 8.732
O 2.459 10.789 17.485
O 1.669 0.111 0.622
O 2.156 7.108 10.792
O 1.813 4.292 1.257
O 2.201 9.718 9.348
O 2.069 3.816 6.428
O 2.229 2.615 9.226
O 2.727 7.864 17.620
O 2.210 4.736 4.058
O 2.282 8.935 5.404
O 2.705 4.124 13.584
O 2.447 1.395 2.886
O 3.630 5.736 18.708
O 3.552 10.443 14.317
O 3.460 4.897 10.677
O 3.777 3.947 15.896
O 3.385 1.265 7.430
O 3.424 5.876 6.070
O 4.365 6.988 12.870
O 4.404 11.599 11.510
O 4.013 8.916 3.044
O 4.329 7.967 8.263
O 4.237 2.421 4.623
O 4.159 7.128 0.232
O 5.343 11.469 16.054
O 5.084 8.740 5.356
O 5.507 3.929 13.535
O 5.579 8.128 14.881
O 5.062 5.000 1.320
O 5.560 10.248 9.714
O 5.720 9.048 12.512
O 5.588 3.145 9.592
O 5.976 8.572 17.682
O 5.633 5.756 8.148
O 6.120 12.752 18.318
O 5.330 2.075 1.454
O 5.745 7.257 10.207
O 5.588 3.493 6.522
O 6.087 5.263 16.007
O 5.833 4.293 4.136
O 5.834 7.188 3.549
O 6.812 6.823 13.029
O 6.439 9.629 3.337
O 6.919 11.528 11.390
O 6.820 8.023 8.046
O 6.709 1.960 4.849
O 6.679 6.621 0.327

---

No. 2
! CaPH2O6 | Materials Project | PBE | relaxed; values from VASP
! * crystal system: monoclinic
! * size of the total moment: 6.000 μB per cell
! * final energy: -5.848 eV per atom
! * SG: Cc (9)
! * E_form: -1.871 eV/atom
&SYSTEM
  ibrav = 0, nat = 20, ntyp = 4
/
ATOMIC_SPECIES
Ca 40.08 Ca.upf
P 30.97 P.upf
H 1.01 H.upf
O 16.00 O.upf
CELL_PARAMETERS angstrom
3.215 -7.649 0.000
3.215 7.649 0.000
-2.850 0.000 4.852
ATOMIC_POSITIONS angstrom
Ca 1.789 5.056 2.426
Ca 3.215 -5.056 0.000
P 0.431 2.634 4.803
P 1.856 -2.634 2.376
H 3.382 1.272 2.291
H 2.765 0.073 3.148
H 4.190 -0.073 0.722
H 1.957 -1.272 4.718
O -0.391 1.794 3.714
O 2.183 3.371 0.724
O 0.472 0.854 1.984
O -0.954 -0.854 4.411
O 1.435 3.567 4.136
O 1.034 -1.794 1.288
O 4.071 1.633 0.815
O 0.758 -3.371 3.150
O 2.962 1.045 3.173
O 2.646 -1.633 3.241
O 4.387 -1.045 0.747
O 2.860 -3.567 1.710

---

No. 3
! CaPHO4 | Materials Project | PBE | relaxed; values from VASP
! * crystal system: triclinic
! * size of the total moment: 0.000 μB per cell
! * final energy: -6.780 eV per atom
! * SG: P1 (1)
! * ΔE to the lowest computed polymorph: 0 kJ/mol of formula units
! * E_form: -2.801 eV/atom
&SYSTEM
  ibrav = 0, nat = 28, ntyp = 4
/
ATOMIC_SPECIES
Ca 40.08 Ca.upf
P 30.97 P.upf
H 1.01 H.upf
O 16.00 O.upf
CELL_PARAMETERS angstrom
6.720 0.000 0.000
0.222 6.977 0.000
0.821 1.726 6.835
ATOMIC_POSITIONS angstrom
Ca 0.000 0.000 0.000
Ca 1.324 3.791 3.725
Ca 3.343 7.316 4.127
Ca 5.722 5.454 6.437
P 2.121 5.204 6.745
P 3.633 7.075 0.401
P 4.559 3.631 3.254
P 6.953 7.324 3.740
H 2.255 2.139 1.477
H 4.173 5.395 2.001
H 5.276 3.068 5.531
H 5.842 1.758 2.176
O 0.383 4.693 0.092
O 0.849 1.486 4.388
O 1.258 4.056 6.143
O 1.141 6.105 3.550
O 1.745 3.041 1.401
O 3.313 8.474 6.288
O 3.380 5.485 5.920
O 2.927 0.762 1.694
O 3.444 2.737 3.792
O 3.873 5.044 2.951
O 4.544 5.853 0.703
O 5.279 2.858 6.554
O 5.202 3.120 1.950
O 5.681 7.041 4.547
O 5.665 3.845 4.327
O 6.320 0.830 2.255

---

No. 4
! CaZnP2H5O8 | Materials Project | PBE | relaxed; values from VASP
! * crystal system: monoclinic
! * size of the total moment: 4.000 μB per cell
! * final energy: -5.686 eV per atom
! * SG: P2_1/c (14)
! * E_form: -1.854 eV/atom
&SYSTEM
  ibrav = 0, nat = 68, ntyp = 5
/
ATOMIC_SPECIES
Ca 40.08 Ca.upf
Zn 65.41 Zn.upf
P 30.97 P.upf
H 1.01 H.upf
O 16.00 O.upf
CELL_PARAMETERS angstrom
7.295 0.000 0.000
0.000 8.092 0.000
-5.898 0.000 14.344
ATOMIC_POSITIONS angstrom
Ca 0.054 0.416 1.920
Ca -2.895 3.630 9.092
Ca 4.293 4.462 5.252
Ca 1.344 7.676 12.424
Zn -0.715 4.622 2.047
Zn -3.664 7.517 9.219
Zn 5.061 0.576 5.125
Zn 2.112 3.470 12.297
P 1.623 5.693 0.139
P -1.326 6.446 7.311
P -3.141 1.096 11.775
P -0.192 2.950 4.603
P 1.590 5.142 9.741
P 4.538 6.996 2.569
P 2.724 1.646 7.032
P -0.225 2.400 14.204
H 1.999 1.724 0.097
H -0.950 2.322 7.269
H -2.169 0.563 12.655
H 0.780 3.484 5.483
H 3.007 5.756 0.413
H 0.058 6.382 7.585
H 2.738 1.944 1.508
H -0.211 2.102 8.680
H -0.949 5.439 10.698
H 1.999 6.700 3.526
H -0.602 1.393 10.818
H 2.347 2.654 3.646
H 1.609 5.990 5.664
H -1.340 6.148 12.836
H 1.339 1.710 6.759
H -1.609 2.336 13.931
H 0.618 4.609 8.860
H 3.567 7.530 1.688
H 2.347 5.770 7.075
H -0.602 6.368 14.247
O -0.886 4.187 3.965
O -3.835 7.952 11.137
O -4.391 5.082 13.078
O -1.442 7.057 5.906
O -4.207 1.773 12.694
O -1.258 2.273 5.523
O -1.915 5.029 7.308
O 1.034 7.109 0.136
O 1.066 4.804 1.272
O -1.883 7.334 8.444
O 0.511 2.018 3.635
O -2.438 2.028 10.807
O 1.937 1.595 1.079
O -1.012 2.451 8.251
O -1.928 5.255 10.590
O 1.021 6.883 3.419
O 0.376 1.209 10.925
O 3.325 2.837 3.753
O 2.410 5.642 6.093
O -0.539 6.497 13.265
O 3.835 6.064 3.536
O 0.886 6.074 10.708
O 3.281 0.758 5.900
O 0.332 3.288 13.072
O 0.364 0.983 14.208
O 3.313 3.063 7.036
O 2.655 5.819 8.821
O 5.604 6.320 1.649
O 2.839 1.036 8.438
O 5.788 3.011 1.266
O 5.232 0.141 3.207
O 2.283 3.906 10.379

---

No. 5
! CaRe3H9S4O6 | Materials Project | PBE | relaxed; values from VASP
! * crystal system: trigonal
! * size of the total moment: 0.001 μB per cell
! * final energy: -6.101 eV per atom
! * SG: P-3 (147)
! * E_form: -1.319 eV/atom
&SYSTEM
  ibrav = 0, nat = 46, ntyp = 5
/
ATOMIC_SPECIES
Ca 40.08 Ca.upf
Re 186.21 Re.upf
H 1.01 H.upf
S 32.06 S.upf
O 16.00 O.upf
CELL_PARAMETERS angstrom
8.974 0.000 0.000
-4.487 7.772 0.000
0.000 0.000 9.099
ATOMIC_POSITIONS angstrom
Ca 0.000 5.181 1.535
Ca 4.487 2.591 7.564
Re -0.343 1.473 3.489
Re -3.040 7.332 3.489
Re 1.105 1.034 5.610
Re 3.383 6.738 3.489
Re 7.527 0.440 5.610
Re 4.830 6.298 5.610
H -1.452 2.888 1.684
H -0.021 2.624 8.940
H -2.204 6.478 8.940
H -1.367 5.930 7.766
H 0.035 3.623 7.766
H 2.262 1.330 0.159
H -1.260 7.586 1.684
H 1.775 2.702 7.415
H 3.155 1.781 1.333
H 1.332 5.991 7.766
H 2.712 5.070 1.684
H 5.747 0.186 7.415
H 2.225 6.441 8.940
H 4.452 4.149 1.333
H 5.854 1.842 1.333
H 6.691 1.294 0.159
H 4.508 5.147 0.159
H 5.940 4.884 7.415
S 0.000 0.000 1.591
S 0.000 0.000 7.508
S -0.650 2.732 5.553
S -1.796 6.969 5.553
S 2.041 1.929 3.547
S 2.446 5.843 5.553
S 6.283 0.803 3.547
S 5.137 5.040 3.547
O -0.720 3.151 2.276
O -1.677 5.697 8.672
O 0.391 3.471 8.672
O -1.399 6.820 2.276
O 2.369 2.199 6.823
O 3.202 1.397 0.427
O 1.285 6.375 8.672
O 2.119 5.573 2.276
O 5.886 0.952 6.823
O 4.096 4.301 0.427
O 6.164 2.074 0.427
O 5.207 4.621 6.823

---

No. 6
! Ca2H2S2O9 | Materials Project | PBE | relaxed; values from VASP
! * crystal system: trigonal
! * size of the total moment: 0.002 μB per cell
! * final energy: -6.180 eV per atom
! * SG: P3_1 (144)
! * ΔE to the lowest computed polymorph: 28 kJ/mol of formula units
! * E_form: -2.352 eV/atom
&SYSTEM
  ibrav = 0, nat = 45, ntyp = 4
/
ATOMIC_SPECIES
Ca 40.08 Ca.upf
H 1.01 H.upf
S 32.06 S.upf
O 16.00 O.upf
CELL_PARAMETERS angstrom
7.048 0.000 0.000
-3.524 6.104 0.000
0.000 0.000 12.833
ATOMIC_POSITIONS angstrom
Ca -1.816 3.179 0.000
Ca -1.895 3.377 6.369
Ca 1.547 2.774 10.647
Ca 1.679 2.941 4.278
Ca 0.138 6.087 8.555
Ca 0.348 6.056 2.091
H -0.172 0.581 1.634
H -0.287 0.877 9.430
H -2.935 5.962 10.189
H -2.621 5.913 5.153
H 2.908 5.417 0.875
H 3.107 5.664 5.912
S -1.880 3.286 3.155
S 1.619 2.712 1.050
S 1.618 2.833 7.433
S 0.262 6.088 11.710
S 3.889 0.046 5.328
S 5.063 3.345 9.606
O -2.973 5.583 5.998
O 0.175 0.738 10.276
O -1.719 4.489 8.681
O -0.775 2.938 4.103
O -0.872 3.199 10.585
O -1.524 4.447 2.299
O 0.496 2.370 0.126
O 0.434 2.560 6.577
O -0.592 5.305 12.658
O -0.318 5.260 6.307
O 2.007 1.522 1.855
O 1.965 1.655 8.269
O 2.887 0.755 4.472
O 1.190 3.749 2.030
O 2.937 0.785 10.778
O 1.367 3.963 8.380
O 1.090 5.200 10.854
O 1.223 5.348 4.404
O 2.735 3.168 6.500
O 2.734 3.225 0.195
O 4.632 0.875 12.546
O 4.727 0.977 6.132
O 3.839 3.605 10.410
O 3.974 3.574 3.991
O 4.900 2.151 2.223
O 4.950 2.123 8.750
O 2.797 5.887 1.721

---

Please write out number 2 again, unchanged.
! CaPH2O6 | Materials Project | PBE | relaxed; values from VASP
! * crystal system: monoclinic
! * size of the total moment: 6.000 μB per cell
! * final energy: -5.848 eV per atom
! * SG: Cc (9)
! * E_form: -1.871 eV/atom
&SYSTEM
  ibrav = 0, nat = 20, ntyp = 4
/
ATOMIC_SPECIES
Ca 40.08 Ca.upf
P 30.97 P.upf
H 1.01 H.upf
O 16.00 O.upf
CELL_PARAMETERS angstrom
3.215 -7.649 0.000
3.215 7.649 0.000
-2.850 0.000 4.852
ATOMIC_POSITIONS angstrom
Ca 1.789 5.056 2.426
Ca 3.215 -5.056 0.000
P 0.431 2.634 4.803
P 1.856 -2.634 2.376
H 3.382 1.272 2.291
H 2.765 0.073 3.148
H 4.190 -0.073 0.722
H 1.957 -1.272 4.718
O -0.391 1.794 3.714
O 2.183 3.371 0.724
O 0.472 0.854 1.984
O -0.954 -0.854 4.411
O 1.435 3.567 4.136
O 1.034 -1.794 1.288
O 4.071 1.633 0.815
O 0.758 -3.371 3.150
O 2.962 1.045 3.173
O 2.646 -1.633 3.241
O 4.387 -1.045 0.747
O 2.860 -3.567 1.710

---

Q: What is the final energy in the second record?
A: -5.848 eV per atom

---

Q: Among the records above, which one has the lowest size of the total moment?
A: CaPHO4